Record 1
VASP calculation (GGA-PBE) on a relaxed structure of Ba7CN6.

CIF file:
```
data_Ba7CN6
_chemical_formula_sum 'Ba28 C4 N24'
_cell_length_a 12.314
_cell_length_b 7.121
_cell_length_c 13.922
_cell_angle_alpha 90.00
_cell_angle_beta 90.00
_cell_angle_gamma 90.00
_symmetry_space_group_name_H-M 'P 1'
_symmetry_Int_Tables_number 1
loop_
_symmetry_equiv_pos_as_xyz
'x,y,z'
loop_
_atom_site_label
_atom_site_type_symbol
_atom_site_fract_x
_atom_site_fract_y
_atom_site_fract_z
Ba1 Ba 0.050 0.745 0.992
Ba2 Ba 0.450 0.755 0.492
Ba3 Ba 0.550 0.755 0.008
Ba4 Ba 0.950 0.745 0.508
Ba5 Ba 0.950 0.255 0.008
Ba6 Ba 0.550 0.245 0.508
Ba7 Ba 0.450 0.245 0.992
Ba8 Ba 0.050 0.255 0.492
Ba9 Ba 0.207 0.867 0.621
Ba10 Ba 0.293 0.633 0.121
Ba11 Ba 0.707 0.633 0.379
Ba12 Ba 0.793 0.867 0.879
Ba13 Ba 0.793 0.133 0.379
Ba14 Ba 0.707 0.367 0.879
Ba15 Ba 0.293 0.367 0.621
Ba16 Ba 0.207 0.133 0.121
Ba17 Ba 0.303 0.633 0.852
Ba18 Ba 0.197 0.867 0.352
Ba19 Ba 0.803 0.867 0.148
Ba20 Ba 0.697 0.633 0.648
Ba21 Ba 0.697 0.367 0.148
Ba22 Ba 0.803 0.133 0.648
Ba23 Ba 0.197 0.133 0.852
Ba24 Ba 0.303 0.367 0.352
Ba25 Ba 0.000 0.486 0.750
Ba26 Ba 0.500 0.014 0.250
Ba27 Ba 0.000 0.514 0.250
Ba28 Ba 0.500 0.986 0.750
C1 C 0.000 0.930 0.750
C2 C 0.500 0.570 0.250
C3 C 0.000 0.070 0.250
C4 C 0.500 0.430 0.750
N1 N 0.097 0.803 0.787
N2 N 0.403 0.697 0.287
N3 N 0.597 0.697 0.213
N4 N 0.903 0.803 0.713
N5 N 0.903 0.197 0.213
N6 N 0.597 0.303 0.713
N7 N 0.403 0.303 0.787
N8 N 0.097 0.197 0.287
N9 N 0.153 0.609 0.493
N10 N 0.347 0.891 0.993
N11 N 0.653 0.891 0.507
N12 N 0.847 0.609 0.007
N13 N 0.847 0.391 0.507
N14 N 0.653 0.109 0.007
N15 N 0.347 0.109 0.493
N16 N 0.153 0.391 0.993
N17 N 0.470 0.554 0.664
N18 N 0.030 0.946 0.164
N19 N 0.970 0.946 0.336
N20 N 0.530 0.554 0.836
N21 N 0.530 0.446 0.336
N22 N 0.970 0.054 0.836
N23 N 0.030 0.054 0.664
N24 N 0.470 0.446 0.164
```

Calculated volume = 1220.8 Å³/cell
Spin magnetization = 0.00 μB/f.u.
Energy relative to the elements = -0.321 eV/atom

=====

Record 2
VASP calculation (GGA-PBE) on a relaxed structure of UCuSb2.

CIF file:
```
data_UCuSb2
_chemical_formula_sum 'U2 Cu2 Sb4'
_cell_length_a 4.335
_cell_length_b 4.335
_cell_length_c 9.512
_cell_angle_alpha 90.00
_cell_angle_beta 90.00
_cell_angle_gamma 90.00
_symmetry_space_group_name_H-M 'P 1'
_symmetry_Int_Tables_number 1
loop_
_symmetry_equiv_pos_as_xyz
'x,y,z'
loop_
_atom_site_label
_atom_site_type_symbol
_atom_site_fract_x
_atom_site_fract_y
_atom_site_fract_z
U1 U 0.000 0.500 0.748
U2 U 0.500 0.000 0.252
Cu1 Cu 0.500 0.500 0.500
Cu2 Cu 0.000 0.000 0.500
Sb1 Sb 0.500 0.500 0.000
Sb2 Sb 0.000 0.000 0.000
Sb3 Sb 0.000 0.500 0.332
Sb4 Sb 0.500 0.000 0.668
```

Calculated volume = 178.7 Å³/cell
Spin magnetization = 0.03 μB/f.u.
Energy relative to the elements = -0.241 eV/atom

=====

Record 3
VASP calculation (GGA-PBE) on a relaxed structure of K2Cu2Te5.

CIF file:
```
data_K2Cu2Te5
_chemical_formula_sum 'K4 Cu4 Te10'
_cell_length_a 6.954
_cell_length_b 6.954
_cell_length_c 12.185
_cell_angle_alpha 90.00
_cell_angle_beta 90.00
_cell_angle_gamma 112.24
_symmetry_space_group_name_H-M 'P 1'
_symmetry_Int_Tables_number 1
loop_
_symmetry_equiv_pos_as_xyz
'x,y,z'
loop_
_atom_site_label
_atom_site_type_symbol
_atom_site_fract_x
_atom_site_fract_y
_atom_site_fract_z
K1 K 0.796 0.204 0.000
K2 K 0.204 0.796 0.000
K3 K 0.204 0.796 0.500
K4 K 0.796 0.204 0.500
Cu1 Cu 0.462 0.684 0.750
Cu2 Cu 0.316 0.538 0.250
Cu3 Cu 0.538 0.316 0.250
Cu4 Cu 0.684 0.462 0.750
Te1 Te 0.346 0.346 0.434
Te2 Te 0.064 0.450 0.750
Te3 Te 0.450 0.064 0.750
Te4 Te 0.550 0.936 0.250
Te5 Te 0.025 0.025 0.750
Te6 Te 0.975 0.975 0.250
Te7 Te 0.654 0.654 0.934
Te8 Te 0.346 0.346 0.066
Te9 Te 0.654 0.654 0.566
Te10 Te 0.936 0.550 0.250
```

Calculated volume = 545.5 Å³/cell
Spin magnetization = 0.00 μB/f.u.
Energy relative to the elements = -0.645 eV/atom

=====

Record 4
VASP calculation (GGA-PBE) on a relaxed structure of MgH10SO9.

CIF file:
```
data_MgH10SO9
_chemical_formula_sum 'Mg2 H20 S2 O18'
_cell_length_a 6.119
_cell_length_b 6.324
_cell_length_c 10.641
_cell_angle_alpha 76.01
_cell_angle_beta 81.52
_cell_angle_gamma 70.00
_symmetry_space_group_name_H-M 'P 1'
_symmetry_Int_Tables_number 1
loop_
_symmetry_equiv_pos_as_xyz
'x,y,z'
loop_
_atom_site_label
_atom_site_type_symbol
_atom_site_fract_x
_atom_site_fract_y
_atom_site_fract_z
Mg1 Mg 0.000 0.000 0.000
Mg2 Mg 0.000 0.500 0.500
H1 H 0.724 0.573 0.202
H2 H 0.276 0.427 0.798
H3 H 0.727 0.394 0.122
H4 H 0.273 0.606 0.878
H5 H 0.908 0.191 0.390
H6 H 0.092 0.809 0.610
H7 H 0.360 0.673 0.378
H8 H 0.640 0.327 0.622
H9 H 0.444 0.398 0.393
H10 H 0.556 0.602 0.607
H11 H 0.350 0.646 0.130
H12 H 0.650 0.354 0.870
H13 H 0.099 0.663 0.204
H14 H 0.901 0.337 0.796
H15 H 0.233 0.279 0.012
H16 H 0.767 0.721 0.988
H17 H 0.265 0.095 0.147
H18 H 0.735 0.905 0.853
H19 H 0.817 0.861 0.629
H20 H 0.183 0.139 0.371
S1 S 0.340 0.029 0.713
S2 S 0.660 0.971 0.287
O1 O 0.341 0.443 0.873
O2 O 0.659 0.557 0.127
O3 O 0.313 0.533 0.410
O4 O 0.687 0.467 0.590
O5 O 0.180 0.696 0.119
O6 O 0.820 0.304 0.881
O7 O 0.159 0.177 0.077
O8 O 0.841 0.823 0.923
O9 O 0.421 0.951 0.293
O10 O 0.579 0.049 0.707
O11 O 0.660 0.127 0.371
O12 O 0.340 0.873 0.629
O13 O 0.827 0.734 0.330
O14 O 0.173 0.266 0.670
O15 O 0.728 0.062 0.150
O16 O 0.272 0.938 0.850
O17 O 0.964 0.755 0.598
O18 O 0.036 0.245 0.402
```

Energy above the lowest structure with this stoichiometry = 0.000 eV/atom
Calculated volume = 374.5 Å³/cell
Energy relative to the elements = -1.597 eV/atom

=====

Record 5
VASP calculation (GGA-PBE) on a relaxed structure of Cs5Sb8.

CIF file:
```
data_Cs5Sb8
_chemical_formula_sum 'Cs20 Sb32'
_cell_length_a 11.660
_cell_length_b 7.471
_cell_length_c 28.210
_cell_angle_alpha 83.34
_cell_angle_beta 90.00
_cell_angle_gamma 90.00
_symmetry_space_group_name_H-M 'P 1'
_symmetry_Int_Tables_number 1
loop_
_symmetry_equiv_pos_as_xyz
'x,y,z'
loop_
_atom_site_label
_atom_site_type_symbol
_atom_site_fract_x
_atom_site_fract_y
_atom_site_fract_z
Cs1 Cs 0.571 0.477 0.426
Cs2 Cs 0.397 0.743 0.979
Cs3 Cs 0.808 0.236 0.690
Cs4 Cs 0.603 0.257 0.021
Cs5 Cs 0.536 0.714 0.258
Cs6 Cs 0.192 0.764 0.310
Cs7 Cs 0.814 0.974 0.378
Cs8 Cs 0.964 0.714 0.758
Cs9 Cs 0.686 0.974 0.878
Cs10 Cs 0.692 0.236 0.190
Cs11 Cs 0.186 0.026 0.622
Cs12 Cs 0.314 0.026 0.122
Cs13 Cs 0.464 0.286 0.742
Cs14 Cs 0.308 0.764 0.810
Cs15 Cs 0.929 0.477 0.926
Cs16 Cs 0.103 0.743 0.479
Cs17 Cs 0.429 0.523 0.574
Cs18 Cs 0.897 0.257 0.521
Cs19 Cs 0.071 0.523 0.074
Cs20 Cs 0.036 0.286 0.242
Sb1 Sb 0.700 0.485 0.816
Sb2 Sb 0.752 0.761 0.524
Sb3 Sb 0.142 0.305 0.837
Sb4 Sb 0.129 0.195 0.744
Sb5 Sb 0.639 0.809 0.113
Sb6 Sb 0.525 0.013 0.625
Sb7 Sb 0.642 0.695 0.663
Sb8 Sb 0.597 0.061 0.528
Sb9 Sb 0.200 0.515 0.684
Sb10 Sb 0.975 0.013 0.125
Sb11 Sb 0.139 0.191 0.387
Sb12 Sb 0.800 0.485 0.316
Sb13 Sb 0.371 0.195 0.244
Sb14 Sb 0.300 0.515 0.184
Sb15 Sb 0.475 0.987 0.375
Sb16 Sb 0.039 0.531 0.609
Sb17 Sb 0.252 0.239 0.976
Sb18 Sb 0.248 0.239 0.476
Sb19 Sb 0.861 0.809 0.613
Sb20 Sb 0.858 0.695 0.163
Sb21 Sb 0.629 0.805 0.756
Sb22 Sb 0.871 0.805 0.256
Sb23 Sb 0.403 0.939 0.472
Sb24 Sb 0.461 0.531 0.109
Sb25 Sb 0.903 0.061 0.028
Sb26 Sb 0.539 0.469 0.891
Sb27 Sb 0.025 0.987 0.875
Sb28 Sb 0.097 0.939 0.972
Sb29 Sb 0.361 0.191 0.887
Sb30 Sb 0.961 0.469 0.391
Sb31 Sb 0.748 0.761 0.024
Sb32 Sb 0.358 0.305 0.337
```

Calculated volume = 2440.9 Å³/cell
Energy relative to the elements = -0.470 eV/atom

=====

Sequential theoretical density output: 5753, 10128, 5134, 1866, 4459 kg/m³
Sequential total energy output: -5.36, -6.06, -3.32, -5.31, -3.24 eV per atom
Sequential total energy after the MP2020 corrections output: -5.51, -6.15, -3.55, -5.61, -3.36 eV per atom